# Zr2Cu3H32O16F14

Crystalline Zr2Cu3H32O16F14 at its relaxed geometry (PBE-GGA, Materials Project).

a = 10.555 Å, b = 10.154 Å, c = 11.066 Å
α = 90.00°, β = 91.88°, γ = 90.00°
Fractional coordinates of all 134 atoms:
Zr 0.176 0.014 0.481
Zr 0.176 0.486 0.981
Zr 0.824 0.514 0.019
Zr 0.824 0.986 0.519
Cu 0.000 0.000 0.000
Cu 0.000 0.500 0.500
Cu 0.491 0.618 0.379
Cu 0.491 0.882 0.879
Cu 0.509 0.118 0.121
Cu 0.509 0.382 0.621
H 0.002 0.234 0.088
H 0.002 0.266 0.588
H 0.054 0.137 0.194
H 0.054 0.363 0.694
H 0.106 0.197 0.877
H 0.106 0.303 0.377
H 0.123 0.063 0.805
H 0.123 0.437 0.305
H 0.182 0.598 0.689
H 0.182 0.902 0.189
H 0.205 0.688 0.575
H 0.205 0.812 0.075
H 0.274 0.748 0.324
H 0.274 0.752 0.824
H 0.277 0.613 0.247
H 0.277 0.887 0.747
H 0.299 0.511 0.560
H 0.299 0.989 0.060
H 0.305 0.223 0.666
H 0.305 0.277 0.166
H 0.311 0.123 0.988
H 0.311 0.377 0.488
H 0.316 0.209 0.293
H 0.316 0.291 0.793
H 0.397 0.703 0.017
H 0.397 0.797 0.517
H 0.449 0.513 0.811
H 0.449 0.987 0.311
H 0.454 0.108 0.762
H 0.454 0.168 0.490
H 0.454 0.332 0.990
H 0.454 0.392 0.262
H 0.546 0.608 0.738
H 0.546 0.668 0.010
H 0.546 0.832 0.510
H 0.546 0.892 0.238
H 0.551 0.013 0.689
H 0.551 0.487 0.189
H 0.603 0.203 0.483
H 0.603 0.297 0.983
H 0.684 0.709 0.207
H 0.684 0.791 0.707
H 0.689 0.623 0.512
H 0.689 0.877 0.012
H 0.695 0.723 0.834
H 0.695 0.777 0.334
H 0.701 0.011 0.940
H 0.701 0.489 0.440
H 0.723 0.113 0.253
H 0.723 0.387 0.753
H 0.726 0.248 0.176
H 0.726 0.252 0.676
H 0.795 0.188 0.925
H 0.795 0.312 0.425
H 0.818 0.098 0.811
H 0.818 0.402 0.311
H 0.877 0.563 0.695
H 0.877 0.937 0.195
H 0.894 0.697 0.623
H 0.894 0.803 0.123
H 0.946 0.637 0.306
H 0.946 0.863 0.806
H 0.998 0.734 0.412
H 0.998 0.766 0.912
O 0.004 0.643 0.378
O 0.004 0.857 0.878
O 0.112 0.101 0.887
O 0.112 0.399 0.387
O 0.186 0.596 0.599
O 0.186 0.904 0.099
O 0.321 0.663 0.313
O 0.321 0.837 0.813
O 0.363 0.051 0.021
O 0.363 0.449 0.521
O 0.366 0.242 0.735
O 0.366 0.258 0.235
O 0.483 0.740 0.000
O 0.483 0.760 0.500
O 0.487 0.531 0.732
O 0.487 0.969 0.232
O 0.513 0.031 0.768
O 0.513 0.469 0.268
O 0.517 0.240 0.500
O 0.517 0.260 0.000
O 0.634 0.742 0.765
O 0.634 0.758 0.265
O 0.637 0.551 0.479
O 0.637 0.949 0.979
O 0.679 0.163 0.187
O 0.679 0.337 0.687
O 0.814 0.096 0.901
O 0.814 0.404 0.401
O 0.888 0.601 0.613
O 0.888 0.899 0.113
O 0.996 0.143 0.122
O 0.996 0.357 0.622
F 0.008 0.617 0.988
F 0.008 0.883 0.488
F 0.139 0.136 0.325
F 0.139 0.364 0.825
F 0.166 0.009 0.671
F 0.166 0.491 0.171
F 0.186 0.616 0.830
F 0.186 0.884 0.330
F 0.232 0.204 0.538
F 0.232 0.296 0.038
F 0.262 0.664 0.046
F 0.262 0.836 0.546
F 0.368 0.036 0.434
F 0.368 0.464 0.934
F 0.632 0.536 0.066
F 0.632 0.964 0.566
F 0.738 0.164 0.454
F 0.738 0.336 0.954
F 0.768 0.704 0.962
F 0.768 0.796 0.462
F 0.814 0.116 0.670
F 0.814 0.384 0.170
F 0.834 0.509 0.829
F 0.834 0.991 0.329
F 0.861 0.636 0.175
F 0.861 0.864 0.675
F 0.992 0.117 0.512
F 0.992 0.383 0.012

Calculated values
* magnetic moment: 0.044 μB/atom
* total energy: -344.9 eV per formula unit
* ΔE_f: -1.767 eV per atom
* corrected total energy (MP2020 scheme): -362.31 eV/f.u.
* volume: 8.8 Å³/atom